[1]
Compound: Pa3Re
Source: the Materials Project
Functional: GGA-PBE
Structure: optimized geometry

Lattice parameters (Å, degrees): 4.9861 4.9861 4.9861 60.00 60.00 60.00
Element x y z (fractional)
1 Pa 0.2500 0.2500 0.2500
2 Pa 0.7500 0.7500 0.7500
3 Pa 0.5000 0.5000 0.5000
4 Re 0.0000 0.0000 0.0000

As for the energy above the most stable polymorph in this dataset: 4 meV per atom. Its energy relative to the elements is 186 meV/atom. As for the calculated total energy: -10.06 eV/atom.

***

[2]
Compound: KLaGaBiO6
Source: the Materials Project
Functional: GGA-PBE
Structure: optimized geometry

Lattice parameters (Å, degrees): 5.7684 5.7684 5.7684 60.00 60.00 60.00
Element x y z (fractional)
1 K 0.2500 0.2500 0.2500
2 La 0.7500 0.7500 0.7500
3 Ga 0.5000 0.5000 0.5000
4 Bi 0.0000 0.0000 0.0000
5 O 0.7423 0.2577 0.2577
6 O 0.2577 0.7423 0.7423
7 O 0.7423 0.2577 0.7423
8 O 0.2577 0.7423 0.2577
9 O 0.7423 0.7423 0.2577
10 O 0.2577 0.2577 0.7423

The value obtained for the corrected total energy (MP2020 scheme) is -6.4319 eV/atom. Its energy relative to the elements is -2167 meV/atom. As for the calculated total energy: -6.02 eV/atom.

***

[3]
Compound: Mn2SbN
Source: the Materials Project
Functional: GGA-PBE
Structure: optimized geometry

Lattice parameters (Å, degrees): 3.7477 3.7477 9.1395 90.00 90.00 90.00
Element x y z (fractional)
1 Mn 0.7500 0.7500 0.0155
2 Mn 0.2500 0.2500 0.9845
3 Mn 0.7500 0.2500 0.5000
4 Mn 0.2500 0.7500 0.5000
5 Sb 0.7500 0.7500 0.3012
6 Sb 0.2500 0.2500 0.6988
7 N 0.7500 0.2500 0.0000
8 N 0.2500 0.7500 0.0000

The value obtained for the corrected total energy (MP2020 scheme) is -7.6553 eV/atom. Its energy relative to the elements is 42 meV/atom. As for the calculated total energy: -7.57 eV/atom.

***

[4]
Compound: Na6YNb3Si6O24
Source: the Materials Project
Functional: GGA-PBE
Structure: optimized geometry

Lattice parameters (Å, degrees): 9.1899 9.1897 22.4998 90.01 90.02 119.92
Element x y z (fractional)
1 Na 0.0094 0.0009 0.5023
2 Na 0.9879 0.9888 0.9976
3 Na 0.6666 0.3320 0.8355
4 Na 0.6666 0.3326 0.3255
5 Na 0.3491 0.6668 0.1617
6 Na 0.3188 0.6519 0.6651
7 Na 0.6425 0.0154 0.2445
8 Na 0.3706 0.3570 0.2441
9 Na 0.9871 0.6274 0.2441
10 Na 0.6299 0.6224 0.7469
11 Na 0.9894 0.3682 0.7474
12 Na 0.3809 0.0092 0.7479
13 Na 0.6634 0.9703 0.5863
14 Na 0.3101 0.9737 0.0814
15 Na 0.0267 0.3394 0.0817
16 Na 0.9629 0.2880 0.4132
17 Na 0.3259 0.0356 0.4132
18 Na 0.7109 0.6763 0.4139
19 Y 0.9999 0.0002 0.3534
20 Y 0.6677 0.3361 0.6846
21 Y 0.6649 0.3352 0.1756
22 Nb 0.0004 0.0009 0.8586
23 Nb 0.0036 0.9994 0.6445
24 Nb 0.9972 0.9969 0.1461
25 Nb 0.6675 0.3347 0.9788
26 Nb 0.6663 0.3347 0.4833
27 Nb 0.3364 0.6666 0.0153
28 Nb 0.3301 0.6629 0.5221
29 Nb 0.3329 0.6667 0.3111
30 Nb 0.3341 0.6672 0.8141
31 Si 0.2969 0.9975 0.2514
32 Si 0.7012 0.7048 0.2525
33 Si 0.0036 0.2995 0.2509
34 Si 0.2809 0.2891 0.7521
35 Si 0.0071 0.7178 0.7527
36 Si 0.7104 0.9925 0.7511
37 Si 0.9665 0.3322 0.5858
38 Si 0.3666 0.0353 0.5846
39 Si 0.6687 0.6342 0.5855
40 Si 0.9672 0.6342 0.0819
41 Si 0.6660 0.0314 0.0824
42 Si 0.3656 0.3347 0.0832
43 Si 0.6263 0.6628 0.9148
44 Si 0.0364 0.3746 0.9158
45 Si 0.3366 0.9627 0.9162
46 Si 0.6173 0.9612 0.4186
47 Si 0.3450 0.3833 0.4172
48 Si 0.0393 0.6566 0.4176
49 O 0.2233 0.0249 0.3126
50 O 0.7991 0.7740 0.3144
51 O 0.9750 0.1982 0.3122
52 O 0.1802 0.1730 0.8093
53 O 0.9936 0.8199 0.8098
54 O 0.8292 0.0063 0.8075
55 O 0.7999 0.9705 0.6901
56 O 0.1615 0.1918 0.6932
57 O 0.0261 0.8357 0.6936
58 O 0.8145 0.8358 0.1970
59 O 0.0242 0.1939 0.1936
60 O 0.1716 0.9786 0.1939
61 O 0.9005 0.3647 0.6473
62 O 0.4788 0.0992 0.6438
63 O 0.6341 0.5353 0.6469
64 O 0.9121 0.5289 0.1430
65 O 0.6183 0.0878 0.1438
66 O 0.4552 0.3676 0.1467
67 O 0.4770 0.3054 0.0315
68 O 0.8346 0.5235 0.0286
69 O 0.6963 0.1708 0.0301
70 O 0.4732 0.1634 0.5274
71 O 0.6875 0.5252 0.5286
72 O 0.8328 0.3089 0.5298
73 O 0.5193 0.6813 0.9696
74 O 0.1538 0.4731 0.9731
75 O 0.3144 0.8430 0.9731
76 O 0.5160 0.8471 0.4754
77 O 0.3362 0.4935 0.4720
78 O 0.1611 0.6698 0.4721
79 O 0.1330 0.6365 0.3565
80 O 0.5005 0.8627 0.3584
81 O 0.3626 0.4959 0.3562
82 O 0.1371 0.4952 0.8571
83 O 0.3590 0.8635 0.8574
84 O 0.5082 0.6404 0.8552
85 O 0.0190 0.8207 0.4200
86 O 0.8028 0.9833 0.4199
87 O 0.1807 0.1992 0.4199
88 O 0.0182 0.1885 0.9116
89 O 0.1691 0.9814 0.9118
90 O 0.8110 0.8312 0.9120
91 O 0.9654 0.1529 0.5858
92 O 0.1846 0.0256 0.5877
93 O 0.8394 0.8199 0.5860
94 O 0.9851 0.8216 0.0877
95 O 0.8433 0.0282 0.0879
96 O 0.1804 0.1582 0.0861
97 O 0.6895 0.1570 0.7522
98 O 0.4646 0.3073 0.7511
99 O 0.8427 0.5336 0.7524
100 O 0.6712 0.5182 0.2444
101 O 0.8470 0.3305 0.2442
102 O 0.4848 0.1531 0.2452
103 O 0.6394 0.4931 0.9234
104 O 0.8516 0.3588 0.9223
105 O 0.5061 0.1463 0.9236
106 O 0.6275 0.1459 0.4213
107 O 0.5194 0.3739 0.4211
108 O 0.8564 0.4821 0.4224
109 O 0.3270 0.4891 0.0717
110 O 0.1585 0.6663 0.0708
111 O 0.5041 0.8451 0.0697
112 O 0.3428 0.8482 0.5731
113 O 0.5120 0.6702 0.5749
114 O 0.1551 0.4898 0.5737
115 O 0.2947 0.8148 0.2528
116 O 0.5217 0.7081 0.2525
117 O 0.1858 0.4800 0.2526
118 O 0.2924 0.4753 0.7543
119 O 0.1822 0.7069 0.7544
120 O 0.5233 0.8185 0.7546

The value obtained for the corrected total energy (MP2020 scheme) is -7.9029 eV/atom. As for the energy above the most stable polymorph in this dataset: 5 meV per atom. Its energy relative to the elements is -3003 meV/atom. As for the calculated total energy: -7.49 eV/atom.

***

[5]
Compound: Sr2MgIrO6
Source: the Materials Project
Functional: GGA-PBE
Structure: optimized geometry

Lattice parameters (Å, degrees): 5.6378 5.6378 5.6378 60.00 60.00 60.00
Element x y z (fractional)
1 Sr 0.2500 0.2500 0.2500
2 Sr 0.7500 0.7500 0.7500
3 Mg 0.0000 0.0000 0.0000
4 Ir 0.5000 0.5000 0.5000
5 O 0.7438 0.2562 0.2562
6 O 0.2562 0.7438 0.2562
7 O 0.7438 0.2562 0.7438
8 O 0.7438 0.7438 0.2562
9 O 0.2562 0.7438 0.7438
10 O 0.2562 0.2562 0.7438

The value obtained for the corrected total energy (MP2020 scheme) is -6.8275 eV/atom. Its energy relative to the elements is -2477 meV/atom. As for the calculated total energy: -6.42 eV/atom.

***

[6]
Compound: K2UCl5
Source: the Materials Project
Functional: GGA-PBE
Structure: optimized geometry

Lattice parameters (Å, degrees): 8.1559 8.8129 13.0441 90.00 90.00 90.00
Element x y z (fractional)
1 K 0.9501 0.0048 0.8292
2 K 0.4501 0.9952 0.6708
3 K 0.0499 0.5048 0.1708
4 K 0.5499 0.4952 0.3292
5 K 0.0499 0.9952 0.1708
6 K 0.5499 0.0048 0.3292
7 K 0.9501 0.4952 0.8292
8 K 0.4501 0.5048 0.6708
9 U 0.5697 0.7500 0.0028
10 U 0.0697 0.2500 0.4972
11 U 0.4303 0.2500 0.9972
12 U 0.9303 0.7500 0.5028
13 Cl 0.3373 0.9589 0.9210
14 Cl 0.8373 0.0411 0.5790
15 Cl 0.6627 0.4589 0.0790
16 Cl 0.1627 0.5411 0.4210
17 Cl 0.6627 0.0411 0.0790
18 Cl 0.1627 0.9589 0.4210
19 Cl 0.3373 0.5411 0.9210
20 Cl 0.8373 0.4589 0.5790
21 Cl 0.3722 0.7500 0.1774
22 Cl 0.8722 0.2500 0.3226
23 Cl 0.6278 0.2500 0.8226
24 Cl 0.1278 0.7500 0.6774
25 Cl 0.0808 0.2500 0.9930
26 Cl 0.5808 0.7500 0.5070
27 Cl 0.9192 0.7500 0.0070
28 Cl 0.4192 0.2500 0.4930
29 Cl 0.6631 0.7500 0.7968
30 Cl 0.1631 0.2500 0.7032
31 Cl 0.3369 0.2500 0.2032
32 Cl 0.8369 0.7500 0.2968

The value obtained for the corrected total energy (MP2020 scheme) is -5.0993 eV/atom. Its energy relative to the elements is -2255 meV/atom. As for the calculated total energy: -4.72 eV/atom.

***

[7]
Compound: Tl3Bi
Source: the Materials Project
Functional: GGA-PBE
Structure: optimized geometry

Lattice parameters (Å, degrees): 7.4581 7.4581 5.3892 90.00 90.00 120.00
Element x y z (fractional)
1 Tl 0.1698 0.3396 0.2500
2 Tl 0.6604 0.8302 0.2500
3 Tl 0.1698 0.8302 0.2500
4 Tl 0.8302 0.6604 0.7500
5 Tl 0.3396 0.1698 0.7500
6 Tl 0.8302 0.1698 0.7500
7 Bi 0.3333 0.6667 0.7500
8 Bi 0.6667 0.3333 0.2500

As for the energy above the most stable polymorph in this dataset: 0 meV per atom. Its energy relative to the elements is -36 meV/atom. As for the calculated total energy: -2.78 eV/atom.

***

[8]
Compound: MgZn5
Source: the Materials Project
Functional: GGA-PBE
Structure: optimized geometry

Lattice parameters (Å, degrees): 2.7973 2.7973 14.3727 90.00 90.00 120.00
Element x y z (fractional)
1 Mg 0.6667 0.3333 0.0000
2 Zn 0.0000 0.0000 0.8250
3 Zn 0.6667 0.3333 0.6636
4 Zn 0.0000 0.0000 0.5000
5 Zn 0.6667 0.3333 0.3364
6 Zn 0.0000 0.0000 0.1750

Its energy relative to the elements is 34 meV/atom. As for the calculated total energy: -1.28 eV/atom.

***

[9]
Compound: RbNa2B6ClO10
Source: the Materials Project
Functional: GGA-PBE
Structure: optimized geometry

Lattice parameters (Å, degrees): 8.4031 9.7387 12.8744 90.00 90.00 90.00
Element x y z (fractional)
1 Rb 0.5200 0.2523 0.2380
2 Rb 0.9800 0.7477 0.7380
3 Rb 0.0200 0.2477 0.7620
4 Rb 0.4800 0.7523 0.2620
5 Na 0.7295 0.0033 0.4647
6 Na 0.7705 0.9967 0.9647
7 Na 0.2295 0.4967 0.5353
8 Na 0.2705 0.5033 0.0353
9 Na 0.5397 0.2200 0.7423
10 Na 0.9603 0.7800 0.2423
11 Na 0.0397 0.2800 0.2577
12 Na 0.4603 0.7200 0.7577
13 B 0.4515 0.2386 0.9778
14 B 0.0485 0.7614 0.4778
15 B 0.9515 0.2614 0.0222
16 B 0.5485 0.7386 0.5222
17 B 0.5414 0.2656 0.5130
18 B 0.9586 0.7344 0.0130
19 B 0.0414 0.2344 0.4870
20 B 0.4586 0.7656 0.9870
21 B 0.8002 0.5047 0.2729
22 B 0.6998 0.4953 0.7729
23 B 0.3002 0.9953 0.7271
24 B 0.1998 0.0047 0.2271
25 B 0.7918 0.3673 0.4391
26 B 0.7082 0.6327 0.9391
27 B 0.2918 0.1327 0.5609
28 B 0.2082 0.8673 0.0609
29 B 0.8829 0.5006 0.0784
30 B 0.6171 0.4994 0.5784
31 B 0.3829 0.9994 0.9216
32 B 0.1171 0.0006 0.4216
33 B 0.2084 0.1356 0.0595
34 B 0.2916 0.8644 0.5595
35 B 0.7084 0.3644 0.9405
36 B 0.7916 0.6356 0.4405
37 Cl 0.2585 0.4870 0.3043
38 Cl 0.2415 0.5130 0.8043
39 Cl 0.7585 0.0130 0.6957
40 Cl 0.7415 0.9870 0.1957
41 O 0.7185 0.5014 0.4799
42 O 0.7815 0.4986 0.9799
43 O 0.2185 0.9986 0.5201
44 O 0.2815 0.0014 0.0201
45 O 0.7787 0.5046 0.1677
46 O 0.7213 0.4954 0.6677
47 O 0.2787 0.9954 0.8323
48 O 0.2213 0.0046 0.3323
49 O 0.3126 0.2505 0.0337
50 O 0.1874 0.7495 0.5337
51 O 0.8126 0.2495 0.9663
52 O 0.6874 0.7505 0.4663
53 O 0.6779 0.2553 0.4541
54 O 0.8221 0.7447 0.9541
55 O 0.1779 0.2447 0.5459
56 O 0.3221 0.7553 0.0459
57 O 0.4865 0.1228 0.9204
58 O 0.0135 0.8772 0.4204
59 O 0.9865 0.3772 0.0796
60 O 0.5135 0.6228 0.5796
61 O 0.5508 0.3491 0.9850
62 O 0.9492 0.6509 0.4850
63 O 0.0508 0.1509 0.0150
64 O 0.4492 0.8491 0.5150
65 O 0.8136 0.3822 0.3253
66 O 0.6864 0.6178 0.8253
67 O 0.3136 0.1178 0.6747
68 O 0.1864 0.8822 0.1747
69 O 0.4418 0.1555 0.5079
70 O 0.0582 0.8445 0.0079
71 O 0.9418 0.3445 0.4921
72 O 0.5582 0.6555 0.9921
73 O 0.7960 0.6276 0.3255
74 O 0.7040 0.3724 0.8255
75 O 0.2960 0.8724 0.6745
76 O 0.2040 0.1276 0.1745
77 O 0.5107 0.3785 0.5749
78 O 0.9893 0.6215 0.0749
79 O 0.0107 0.1215 0.4251
80 O 0.4893 0.8785 0.9251

The value obtained for the corrected total energy (MP2020 scheme) is -7.4510 eV/atom. Its energy relative to the elements is -2699 meV/atom. As for the calculated total energy: -7.11 eV/atom.

***

[10]
Compound: NdF3
Source: the Materials Project
Functional: GGA-PBE
Structure: optimized geometry

Lattice parameters (Å, degrees): 7.0850 7.0850 7.2773 90.00 90.00 120.00
Element x y z (fractional)
1 Nd 0.6747 0.0000 0.7521
2 Nd 0.6747 0.6747 0.2521
3 Nd 0.0000 0.3253 0.2521
4 Nd 0.0000 0.6747 0.7521
5 Nd 0.3253 0.3253 0.7521
6 Nd 0.3253 0.0000 0.2521
7 F 0.6185 0.0000 0.4236
8 F 0.6185 0.6185 0.9236
9 F 0.0000 0.3815 0.9236
10 F 0.0000 0.6185 0.4236
11 F 0.3815 0.3815 0.4236
12 F 0.3815 0.0000 0.9236
13 F 0.0000 0.0000 0.3243
14 F 0.0000 0.0000 0.8243
15 F 0.3333 0.6667 0.2090
16 F 0.6667 0.3333 0.7090
17 F 0.3333 0.6667 0.7090
18 F 0.6667 0.3333 0.2090
19 F 0.2747 0.0000 0.5836
20 F 0.2747 0.2747 0.0836
21 F 0.0000 0.7253 0.0836
22 F 0.0000 0.2747 0.5836
23 F 0.7253 0.7253 0.5836
24 F 0.7253 0.0000 0.0836

The value obtained for the corrected total energy (MP2020 scheme) is -7.1107 eV/atom. Its energy relative to the elements is -4483 meV/atom. As for the calculated total energy: -6.76 eV/atom.

***

[11]
Compound: Pb2O3
Source: the Materials Project
Functional: GGA-PBE
Structure: optimized geometry

Lattice parameters (Å, degrees): 5.4207 5.4207 5.7361 89.20 89.20 101.01
Element x y z (fractional)
1 Pb 0.0000 0.5000 0.0000
2 Pb 0.0000 0.0000 0.5000
3 Pb 0.5000 0.5000 0.5000
4 Pb 0.5000 0.0000 0.0000
5 O 0.2496 0.2496 0.1089
6 O 0.2526 0.7602 0.7451
7 O 0.7474 0.2398 0.2549
8 O 0.7504 0.7504 0.8911
9 O 0.2398 0.7474 0.2549
10 O 0.7602 0.2526 0.7451

The value obtained for the corrected total energy (MP2020 scheme) is -5.6472 eV/atom. Its energy relative to the elements is -1193 meV/atom. As for the calculated total energy: -5.24 eV/atom.

***

[12]
Compound: LiAl2Tc
Source: the Materials Project
Functional: GGA-PBE
Structure: optimized geometry

Lattice parameters (Å, degrees): 4.3067 4.3067 4.3067 60.00 60.00 60.00
Element x y z (fractional)
1 Li 0.5000 0.5000 0.5000
2 Al 0.7500 0.7500 0.7500
3 Al 0.2500 0.2500 0.2500
4 Tc 0.0000 0.0000 0.0000

Its energy relative to the elements is -282 meV/atom. As for the calculated total energy: -5.22 eV/atom.

***

> Among the records above, which one has the highest calculated total energy?

MgZn5